[1]
! Rb3BS3 | Materials Project | r²SCAN | relaxed; values from VASP
&SYSTEM
  ibrav = 0, nat = 28, ntyp = 3
/
ATOMIC_SPECIES
Rb 85.47 Rb.upf
B 10.81 B.upf
S 32.06 S.upf
ATOMIC_POSITIONS angstrom
Rb 1.376 2.405 8.141
B 5.663 10.051 7.984
S 3.696 5.508 9.737
Rb 5.036 11.313 4.573
Rb 1.830 0.756 1.790
B 2.457 5.317 11.081
Rb 2.799 4.864 2.494
B 0.749 3.668 4.730
B 3.954 8.401 1.632
Rb 4.121 4.289 6.456
Rb 0.915 11.078 12.609
S 1.834 2.188 4.802
Rb 6.005 7.205 3.868
S 5.921 3.859 3.386
Rb 2.291 9.429 6.258
Rb 4.581 12.963 10.924
Rb 3.612 8.854 10.219
Rb 5.496 2.640 0.105
S 0.939 4.996 5.975
S 2.716 8.210 2.977
S 4.144 7.072 0.388
S 4.578 11.530 7.912
S 5.039 9.881 1.561
S 2.267 6.646 12.326
Rb 0.406 6.514 8.845
S 0.490 9.860 9.328
S 5.473 8.722 6.739
S 1.372 3.837 11.153
CELL_PARAMETERS angstrom
6.411 0.000 0.000
0.000 10.419 0.011
0.000 3.299 12.702
! **Energy of formation**: -1206.9 meV per atom
! **Total energy**: -11.6699 eV per atom

***

[2]
! Rb2B2Se7 | Materials Project | r²SCAN | relaxed; values from VASP
&SYSTEM
  ibrav = 0, nat = 22, ntyp = 3
/
ATOMIC_SPECIES
Se 78.96 Se.upf
B 10.81 B.upf
Rb 85.47 Rb.upf
ATOMIC_POSITIONS angstrom
Se -0.125 16.673 2.732
Se -1.505 13.524 5.035
B -1.691 14.449 6.851
Se -0.897 10.222 8.877
B -1.690 12.099 9.003
Se 1.505 17.007 10.373
Se 0.124 6.391 7.783
Se 0.897 6.738 3.539
Se -0.124 2.908 2.445
Se 0.367 9.790 2.589
Rb -2.029 16.516 10.349
Rb 2.028 6.548 0.166
Se 0.124 20.156 8.070
Se 0.897 12.843 1.638
B 1.690 8.615 3.665
Rb 2.028 13.033 5.011
Se -1.505 6.057 0.142
Se -0.367 13.274 7.926
Se 1.505 9.540 5.480
B 1.690 10.965 1.513
Rb -2.029 10.031 5.504
Se -0.897 16.326 6.976
CELL_PARAMETERS angstrom
3.684 8.048 -0.080
-3.685 8.049 -0.080
0.000 6.967 10.676
! **Energy of formation**: -622.0 meV per atom
! **Total energy**: -13.5979 eV per atom

***

[3]
! Rb4B9Se9 | Materials Project | r²SCAN | relaxed; values from VASP
&SYSTEM
  ibrav = 0, nat = 44, ntyp = 3
/
ATOMIC_SPECIES
Se 78.96 Se.upf
B 10.81 B.upf
Rb 85.47 Rb.upf
ATOMIC_POSITIONS angstrom
Se -1.593 1.721 8.796
B 1.894 7.340 7.298
Rb 4.743 3.576 1.403
Se 9.013 0.613 3.286
Rb -0.144 3.036 5.582
B -1.076 -0.943 10.413
Se 3.430 9.083 0.579
Se 5.820 7.013 1.838
B -2.334 0.127 9.753
Se 5.566 -0.726 7.678
B 2.333 1.394 3.336
B 6.758 -0.876 9.287
Rb -1.096 5.833 2.732
Se 8.238 2.824 0.812
B 0.334 1.304 9.082
B 5.302 9.677 0.221
Se 1.395 2.648 2.133
B 3.893 7.430 1.552
B 9.860 0.207 1.527
B 8.067 2.250 2.715
B -5.226 7.392 10.414
Se 2.832 6.086 8.501
B -2.531 9.610 1.347
B 9.453 1.342 0.220
Se 1.685 2.485 8.444
B 3.624 7.457 9.723
Rb 4.371 5.699 5.052
Se 2.542 6.249 2.189
B -3.840 6.484 7.919
Rb -0.516 5.158 9.230
Se -4.011 5.910 9.822
Se -2.851 5.471 6.656
B 0.603 1.277 0.910
Se 0.797 -0.349 10.054
Se 3.320 2.017 4.839
Se 7.078 3.263 3.977
Se -4.787 8.121 7.347
Se -1.339 9.461 2.956
B 6.561 8.607 0.880
Rb 5.322 2.901 7.902
B -5.633 8.527 9.107
Se 0.907 6.717 5.794
Rb 5.708 -0.426 3.899
Rb -1.481 9.160 6.735
CELL_PARAMETERS angstrom
10.494 0.019 -0.014
-3.555 10.011 0.047
-2.712 -1.296 10.601
! **Energy of formation**: -692.3 meV per atom
! **Total energy**: -12.0853 eV per atom

***

[4]
! Tb3ReB7 | Materials Project | r²SCAN | relaxed; values from VASP
&SYSTEM
  ibrav = 0, nat = 22, ntyp = 3
/
ATOMIC_SPECIES
Tb 158.93 Tb.upf
B 10.81 B.upf
Re 186.21 Re.upf
ATOMIC_POSITIONS angstrom
Tb 5.288 -1.883 6.207
B 3.943 1.990 5.023
B 4.713 4.801 5.453
B 5.174 3.088 5.878
B -2.488 3.155 0.220
B -0.609 0.875 1.718
B 2.804 3.101 4.128
B 0.201 5.550 2.086
Tb -1.185 7.559 0.964
Re 0.373 9.926 1.998
Tb 7.648 0.220 7.845
B 0.161 3.686 2.148
B 0.797 0.927 2.754
B 3.903 0.126 5.085
Re 3.730 -4.250 5.173
B -1.071 2.589 1.293
Tb 2.369 -1.848 4.050
B 1.299 2.576 3.043
B 3.306 4.750 4.417
Tb -3.544 5.457 -0.674
B 6.591 2.522 6.952
Tb 1.734 7.524 3.121
CELL_PARAMETERS angstrom
-4.675 6.461 -1.558
2.566 -6.320 4.415
6.213 5.536 4.313
! **Energy of formation**: -662.7 meV per atom
! **Total energy**: -18.6186 eV per atom

***

[5]
! Tm3ReB7 | Materials Project | r²SCAN | relaxed; values from VASP
&SYSTEM
  ibrav = 0, nat = 22, ntyp = 3
/
ATOMIC_SPECIES
B 10.81 B.upf
Tm 168.93 Tm.upf
Re 186.21 Re.upf
ATOMIC_POSITIONS angstrom
B 2.626 -5.100 0.740
Tm -2.854 -5.472 4.392
B -3.083 -2.129 1.280
Tm 3.521 -1.937 -2.872
B 2.690 -6.388 1.954
Re 5.670 -1.285 -4.796
B 4.247 -7.223 1.831
B -0.363 -3.959 1.427
B -0.839 -5.070 2.791
B 4.669 -3.977 -1.578
B 4.194 -5.088 -0.213
Tm -4.839 -2.870 3.055
Tm 6.684 -3.575 -3.178
B -0.417 -1.824 -0.618
Re -1.840 -7.762 6.010
B 5.240 -6.459 0.492
B 1.140 -2.659 -0.741
B 1.204 -3.947 0.473
Tm 8.669 -6.177 -1.841
B 6.913 -6.918 -0.066
B -1.410 -2.588 0.722
Tm 0.310 -7.110 4.085
CELL_PARAMETERS angstrom
-6.342 -2.828 3.917
4.967 0.601 -6.207
5.206 -6.820 3.504
! **Energy of formation**: -740.4 meV per atom
! **Total energy**: -19.7585 eV per atom

***

[6]
! UReB3 | Materials Project | r²SCAN | relaxed; values from VASP
&SYSTEM
  ibrav = 0, nat = 10, ntyp = 3
/
ATOMIC_SPECIES
U 238.03 U.upf
B 10.81 B.upf
Re 186.21 Re.upf
ATOMIC_POSITIONS angstrom
U -4.173 0.061 2.406
B -2.269 -0.047 0.438
B -3.611 -1.010 -0.053
U -1.743 -2.531 0.848
Re -0.988 0.179 2.348
B -2.239 -3.175 3.465
B -2.305 -1.460 3.307
B -3.677 0.705 -0.212
Re 0.000 0.000 0.000
B -3.647 -2.423 2.816
CELL_PARAMETERS angstrom
-4.134 2.208 -1.907
0.194 -5.035 0.464
-1.975 0.357 4.696
! **Energy of formation**: -586.9 meV per atom
! **Total energy**: -31.4653 eV per atom

***

[7]
! UReB4 | Materials Project | r²SCAN | relaxed; values from VASP
&SYSTEM
  ibrav = 0, nat = 12, ntyp = 3
/
ATOMIC_SPECIES
B 10.81 B.upf
U 238.03 U.upf
Re 186.21 Re.upf
ATOMIC_POSITIONS angstrom
B 3.457 2.079 -2.767
B 0.879 5.003 -2.335
B 0.275 1.989 -2.030
B 5.134 1.322 -3.110
U 4.003 0.112 -0.926
U 2.215 3.392 -0.695
B 4.530 -1.693 -2.806
B 3.714 3.927 -2.927
Re 1.163 0.655 -0.303
B 1.695 -0.616 -2.214
B 1.952 1.232 -2.374
Re 5.055 2.848 -1.318
CELL_PARAMETERS angstrom
-0.809 -0.193 -3.519
0.869 5.861 -0.521
5.349 -2.357 -1.100
! **Energy of formation**: -582.1 meV per atom
! **Total energy**: -27.5385 eV per atom

***

[8]
! V3ReB4 | Materials Project | r²SCAN | relaxed; values from VASP
&SYSTEM
  ibrav = 0, nat = 8, ntyp = 3
/
ATOMIC_SPECIES
B 10.81 B.upf
V 50.94 V.upf
Re 186.21 Re.upf
ATOMIC_POSITIONS angstrom
B 1.491 1.526 0.450
V 0.000 1.526 5.230
V 1.491 1.526 2.918
B 0.000 1.526 7.529
B 1.491 0.000 4.579
Re 0.000 0.000 1.221
V 1.491 0.000 6.904
B 0.000 0.000 3.577
CELL_PARAMETERS angstrom
2.983 0.000 0.000
0.000 3.052 0.000
0.000 0.000 8.102
! **Energy of formation**: -760.2 meV per atom
! **Total energy**: -16.2683 eV per atom

***

[9]
! B3Rh7 | Materials Project | r²SCAN | relaxed; values from VASP
&SYSTEM
  ibrav = 0, nat = 20, ntyp = 2
/
ATOMIC_SPECIES
Rh 102.91 Rh.upf
B 10.81 B.upf
ATOMIC_POSITIONS angstrom
Rh 3.730 4.875 1.093
Rh 3.730 0.569 2.823
Rh 6.087 -0.792 3.506
Rh 3.730 2.153 0.374
Rh 3.730 -2.153 2.787
Rh 3.730 -4.875 3.506
B 5.346 1.220 4.023
Rh 3.730 -0.569 0.409
Rh 1.373 -0.792 3.506
Rh 5.102 -2.946 0.409
B 2.113 1.220 4.023
B 5.346 -1.220 1.610
B 3.730 -4.020 1.610
Rh 6.087 0.792 1.093
Rh 2.357 2.946 2.823
B 3.730 4.020 4.023
Rh 1.373 0.792 1.093
Rh 5.102 2.946 2.823
Rh 2.357 -2.946 0.409
B 2.113 -1.220 1.610
CELL_PARAMETERS angstrom
3.730 -6.460 0.000
3.730 6.460 0.000
0.000 0.000 4.827
! **Energy of formation**: -263.2 meV per atom
! **Total energy**: -19.3624 eV per atom

***

[10]
! BRh | Materials Project | r²SCAN | relaxed; values from VASP
&SYSTEM
  ibrav = 0, nat = 4, ntyp = 2
/
ATOMIC_SPECIES
B 10.81 B.upf
Rh 102.91 Rh.upf
ATOMIC_POSITIONS angstrom
B -1.455 -0.123 -0.847
B -2.410 -0.687 0.875
Rh -2.322 1.464 0.410
Rh -2.498 -2.838 1.340
CELL_PARAMETERS angstrom
-2.039 2.680 -0.253
-0.872 -2.927 -1.441
-1.909 -1.127 3.444
! **Energy of formation**: -429.1 meV per atom
! **Total energy**: -16.1703 eV per atom

***

[11]
! B4Rh5 | Materials Project | r²SCAN | relaxed; values from VASP
&SYSTEM
  ibrav = 0, nat = 18, ntyp = 2
/
ATOMIC_SPECIES
Rh 102.91 Rh.upf
B 10.81 B.upf
ATOMIC_POSITIONS angstrom
Rh 0.000 1.919 9.188
Rh 0.000 0.000 7.154
Rh 1.662 0.959 19.337
B 1.662 0.959 8.405
B 0.000 1.919 18.554
B 1.662 0.959 3.985
Rh 0.000 1.919 0.962
B 0.000 1.919 11.894
Rh 0.000 0.000 2.995
Rh 0.000 0.000 17.303
Rh 1.662 0.959 15.224
B 0.000 1.919 14.135
Rh 0.000 0.000 13.145
B 1.662 0.959 1.745
Rh 0.000 1.919 5.075
Rh 1.662 0.959 11.111
B 0.000 1.919 16.314
B 1.662 0.959 6.164
CELL_PARAMETERS angstrom
3.323 0.000 0.000
-1.662 2.878 0.000
0.000 0.000 20.299
! **Energy of formation**: -408.3 meV per atom
! **Total energy**: -17.0824 eV per atom

***

[12]
! Sc2B6Rh | Materials Project | r²SCAN | relaxed; values from VASP
&SYSTEM
  ibrav = 0, nat = 36, ntyp = 3
/
ATOMIC_SPECIES
B 10.81 B.upf
Sc 44.96 Sc.upf
Rh 102.91 Rh.upf
ATOMIC_POSITIONS angstrom
B 1.729 3.282 9.162
B 1.729 5.627 2.030
B 1.729 1.815 8.257
B 1.729 7.736 7.626
B 1.729 0.481 0.713
B 1.729 2.248 0.878
B 1.729 7.986 5.909
Sc 0.000 2.841 4.638
B 1.729 6.661 10.314
Sc 0.000 6.068 6.554
B 1.729 3.531 10.878
Rh 0.000 1.254 2.017
Sc 0.000 7.295 0.958
B 1.729 0.923 5.282
Rh 0.000 7.654 9.175
B 1.729 6.270 8.531
B 1.729 5.377 0.313
Sc 0.000 3.959 1.412
B 1.729 6.702 4.718
Rh 0.000 3.200 7.613
B 1.729 0.176 8.809
B 1.729 1.173 3.566
B 1.729 7.093 2.935
Rh 0.000 5.708 3.579
Sc 0.000 1.614 10.234
Sc 0.000 0.495 7.008
B 1.729 3.973 6.309
B 1.729 4.630 7.979
Sc 0.000 4.950 9.780
B 1.729 2.207 6.474
B 1.729 8.733 2.383
B 1.729 2.639 2.661
B 1.729 8.427 10.479
Sc 0.000 8.413 4.184
B 1.729 4.278 3.213
B 1.729 4.936 4.883
CELL_PARAMETERS angstrom
3.459 0.000 0.000
0.000 8.909 0.000
0.000 0.000 11.192
! **Energy of formation**: -775.1 meV per atom
! **Total energy**: -10.8874 eV per atom